Below is a relaxed structure of Sm2Cu2O5, with properties calculated at the PBE-GGA level.

Computed properties:
Relative energy among the computed polymorphs (eV per formula unit): 0.000
SG: Pna2_1
Density (Mg/m³): 6.6
Formation enthalpy at 0 K (meV/atom): -2516

Unit cell a=11.0589 b=3.6516 c=12.7468 alpha=90.00 beta=90.00 gamma=90.00
Fractional positions:
Sm 0.0430 0.2171 0.0000
Sm 0.2079 0.2137 0.6735
Sm 0.2921 0.7137 0.1735
Sm 0.4570 0.7171 0.5000
Sm 0.5430 0.2829 0.0000
Sm 0.7079 0.2863 0.6735
Sm 0.7921 0.7863 0.1735
Sm 0.9570 0.7829 0.5000
Cu 0.0114 0.3396 0.2844
Cu 0.2369 0.1563 0.3879
Cu 0.2631 0.6563 0.8879
Cu 0.4886 0.8396 0.7844
Cu 0.5114 0.1604 0.2844
Cu 0.7369 0.3437 0.3879
Cu 0.7631 0.8437 0.8879
Cu 0.9886 0.6604 0.7844
O 0.0736 0.2773 0.4328
O 0.0753 0.7221 0.6471
O 0.1252 0.3691 0.8366
O 0.1744 0.2153 0.2387
O 0.1757 0.7240 0.0248
O 0.3243 0.2240 0.5248
O 0.3256 0.7153 0.7387
O 0.3748 0.8691 0.3366
O 0.4247 0.2221 0.1471
O 0.4264 0.7773 0.9328
O 0.5736 0.2227 0.4328
O 0.5753 0.7779 0.6471
O 0.6252 0.1309 0.8366
O 0.6744 0.2847 0.2387
O 0.6757 0.7760 0.0248
O 0.8243 0.2760 0.5248
O 0.8256 0.7847 0.7387
O 0.8748 0.6309 0.3366
O 0.9247 0.2779 0.1471
O 0.9264 0.7227 0.9328

---

Below is a relaxed structure of Ce10Y22O53, with properties calculated at the PBE-GGA level.

Computed properties:
SG: P1
Size of the total moment (μB per formula unit): 0.00
Density (Mg/m³): 5.5
Formation enthalpy at 0 K (meV/atom): -3931

Unit cell a=9.3750 b=9.3861 c=15.2790 alpha=90.06 beta=90.26 gamma=109.57
Fractional positions:
Ce 0.0000 0.0000 0.0000
Ce 0.0447 0.0163 0.2391
Ce 0.1766 0.4190 0.1401
Ce 0.2935 0.7997 0.5136
Ce 0.4300 0.1722 0.1392
Ce 0.5061 0.5219 0.5013
Ce 0.5540 0.5192 0.7412
Ce 0.6671 0.9103 0.6329
Ce 0.7959 0.2583 0.4960
Ce 0.9342 0.6737 0.6410
Y 0.0176 0.0018 0.4999
Y 0.0192 0.0259 0.7680
Y 0.1480 0.4179 0.6126
Y 0.1513 0.4007 0.3781
Y 0.1538 0.3984 0.8718
Y 0.2924 0.8199 0.7588
Y 0.2960 0.7517 0.9955
Y 0.3122 0.7987 0.2399
Y 0.3939 0.1712 0.8633
Y 0.4372 0.1630 0.6269
Y 0.4390 0.1553 0.3819
Y 0.5133 0.5038 0.9998
Y 0.5268 0.5274 0.2677
Y 0.6443 0.8876 0.3847
Y 0.6445 0.9181 0.1130
Y 0.6501 0.9054 0.8786
Y 0.7724 0.3007 0.0123
Y 0.7919 0.3129 0.2545
Y 0.8120 0.2941 0.7425
Y 0.9012 0.6707 0.3612
Y 0.9385 0.6536 0.1238
Y 0.9409 0.6469 0.8836
O 0.0264 0.7562 0.4968
O 0.0322 0.2477 0.2628
O 0.0441 0.7923 0.7615
O 0.0495 0.2537 0.5000
O 0.0611 0.7797 0.2537
O 0.0653 0.2931 0.7378
O 0.0707 0.7997 0.0010
O 0.1470 0.1484 0.8975
O 0.1616 0.1464 0.1106
O 0.1787 0.6611 0.6426
O 0.1836 0.6543 0.1245
O 0.1847 0.6435 0.8655
O 0.2551 0.4836 0.0046
O 0.2648 0.5529 0.4896
O 0.2709 0.0618 0.7396
O 0.2773 0.0502 0.5069
O 0.2771 0.5474 0.2680
O 0.2873 0.0535 0.2603
O 0.3821 0.3764 0.3856
O 0.3877 0.4013 0.6299
O 0.3949 0.8861 0.3821
O 0.4031 0.9297 0.1113
O 0.4171 0.4325 0.8608
O 0.4209 0.9443 0.8841
O 0.4266 0.9195 0.6341
O 0.4313 0.4290 0.1348
O 0.5185 0.2569 0.9968
O 0.5274 0.7741 0.5135
O 0.5367 0.7493 0.7612
O 0.5441 0.2911 0.2605
O 0.5452 0.7537 0.0000
O 0.5611 0.2778 0.7567
O 0.5664 0.7964 0.2410
O 0.5733 0.3057 0.5011
O 0.6590 0.6407 0.3923
O 0.6710 0.1593 0.1417
O 0.6789 0.6349 0.6166
O 0.6802 0.1419 0.3686
O 0.6810 0.1557 0.6224
O 0.7711 0.5493 0.0054
O 0.7746 0.0453 0.7666
O 0.7786 0.0108 0.5044
O 0.7791 0.5522 0.2365
O 0.7852 0.0613 0.9911
O 0.7953 0.5447 0.7637
O 0.8763 0.8666 0.8851
O 0.8825 0.8902 0.1288
O 0.9064 0.4263 0.6118
O 0.9079 0.3764 0.8886
O 0.9160 0.9282 0.3619
O 0.9198 0.4384 0.3840
O 0.9280 0.9231 0.6338
O 0.9336 0.4037 0.1221

---

Below is a relaxed structure of Cs3BiCl6, with properties calculated at the PBE-GGA level.

Computed properties:
Relative energy among the computed polymorphs (eV per formula unit): 0.000
SG: C2/c
Density (Mg/m³): 3.6
Formation enthalpy at 0 K (meV/atom): -2015

Unit cell a=14.3844 b=14.3844 c=13.4393 alpha=99.17 beta=99.17 gamma=33.95
Fractional positions:
Cs 0.0321 0.6597 0.8549
Cs 0.1523 0.5249 0.2009
Cs 0.1961 0.7047 0.5678
Cs 0.2953 0.8040 0.9322
Cs 0.3403 0.9679 0.6451
Cs 0.4751 0.8477 0.2991
Cs 0.5249 0.1523 0.7009
Cs 0.6597 0.0321 0.3549
Cs 0.7047 0.1960 0.0678
Cs 0.8039 0.2953 0.4322
Cs 0.8477 0.4751 0.7991
Cs 0.9679 0.3403 0.1451
Bi 0.0000 0.5000 0.5000
Bi 0.2836 0.7164 0.2500
Bi 0.5000 0.0000 0.0000
Bi 0.7164 0.2836 0.7500
Cl 0.0023 0.1120 0.6808
Cl 0.1120 0.0023 0.1808
Cl 0.1189 0.2276 0.4192
Cl 0.1383 0.3608 0.6855
Cl 0.2174 0.6672 0.0649
Cl 0.2276 0.1189 0.9192
Cl 0.2775 0.3681 0.4653
Cl 0.3328 0.7826 0.4351
Cl 0.3608 0.1383 0.1855
Cl 0.3681 0.2775 0.9653
Cl 0.4171 0.4682 0.8063
Cl 0.4682 0.4171 0.3063
Cl 0.5318 0.5829 0.6937
Cl 0.5829 0.5318 0.1937
Cl 0.6319 0.7225 0.0347
Cl 0.6392 0.8617 0.8145
Cl 0.6672 0.2174 0.5649
Cl 0.7225 0.6319 0.5347
Cl 0.7724 0.8811 0.0808
Cl 0.7826 0.3328 0.9351
Cl 0.8617 0.6392 0.3145
Cl 0.8811 0.7724 0.5808
Cl 0.8880 0.9977 0.8192
Cl 0.9977 0.8880 0.3192

---

Below is a relaxed structure of BaCa2Tm10O18, with properties calculated at the PBE-GGA level.

Computed properties:
SG: P1
Size of the total moment (μB per formula unit): 0.00
Density (Mg/m³): 8.1
Formation enthalpy at 0 K (meV/atom): -3858

Unit cell a=3.3411 b=17.6101 c=17.6252 alpha=119.95 beta=90.01 gamma=90.03
Fractional positions:
Ba 0.0000 0.0000 0.0000
Ba 0.4988 0.3383 0.6685
Ca 0.4410 0.6653 0.0048
Ca 0.9401 0.6746 0.6654
Ca 0.9421 0.3402 0.0072
Ca 0.9415 0.9942 0.3271
Tm 0.4381 0.2183 0.7806
Tm 0.4382 0.5581 0.4518
Tm 0.4378 0.5686 0.7859
Tm 0.4388 0.2226 0.4346
Tm 0.4386 0.8998 0.4433
Tm 0.4398 0.5518 0.1011
Tm 0.4433 0.2315 0.1164
Tm 0.4435 0.3466 0.3371
Tm 0.4437 0.8830 0.1123
Tm 0.4438 0.8895 0.7694
Tm 0.4438 0.9971 0.6555
Tm 0.9363 0.1166 0.2317
Tm 0.9362 0.1198 0.8852
Tm 0.9386 0.7690 0.8815
Tm 0.9392 0.7826 0.2141
Tm 0.9405 0.4363 0.2172
Tm 0.9400 0.7873 0.5651
Tm 0.9442 0.1046 0.5466
Tm 0.9440 0.4487 0.8986
Tm 0.9446 0.4557 0.5547
O 0.4378 0.0956 0.3098
O 0.4384 0.1284 0.1541
O 0.4376 0.2184 0.9072
O 0.4385 0.0302 0.8737
O 0.4391 0.6942 0.1743
O 0.4397 0.6939 0.7794
O 0.4400 0.7637 0.6434
O 0.4403 0.8408 0.5277
O 0.4415 0.0297 0.4463
O 0.4406 0.3562 0.1161
O 0.4414 0.4168 0.9695
O 0.4408 0.4729 0.3090
O 0.4407 0.8894 0.2411
O 0.4416 0.5570 0.5793
O 0.4419 0.8505 0.9697
O 0.4438 0.1603 0.6377
O 0.4439 0.3648 0.5203
O 0.4436 0.4741 0.8335
O 0.9372 0.1073 0.7492
O 0.9385 0.2537 0.3563
O 0.9387 0.6442 0.4843
O 0.9387 0.8494 0.3588
O 0.9402 0.3041 0.7885
O 0.9405 0.3073 0.2281
O 0.9399 0.5114 0.1514
O 0.9396 0.6431 0.8838
O 0.9410 0.2118 0.5122
O 0.9409 0.4875 0.6937
O 0.9407 0.5752 0.0204
O 0.9408 0.7818 0.0823
O 0.9407 0.9251 0.6933
O 0.9422 0.4426 0.4208
O 0.9422 0.9847 0.5604
O 0.9425 0.1721 0.0285
O 0.9434 0.8598 0.8272
O 0.9433 0.9749 0.1411

---

Below is a relaxed structure of LiMg6C, with properties calculated at the PBE-GGA level.

Computed properties:
Relative energy among the computed polymorphs (eV per formula unit): 2.077
Density (Mg/m³): 1.8
Formation enthalpy at 0 K (meV/atom): 514

Unit cell a=4.5884 b=6.2359 c=10.6654 alpha=90.00 beta=90.00 gamma=90.00
Fractional positions:
Mg 0.0000 0.0000 0.6699
Mg 0.5000 0.7515 0.5849
Mg 0.5000 0.2485 0.5849
Mg 0.0000 0.7623 0.4082
Mg 0.0000 0.2377 0.4082
Mg 0.0000 0.2623 0.9082
Mg 0.0000 0.0000 0.1767
Mg 0.5000 0.2515 0.0849
Mg 0.0000 0.5000 0.6767
Mg 0.0000 0.7377 0.9082
Mg 0.0000 0.5000 0.1699
Mg 0.5000 0.7485 0.0849
C 0.5000 0.0000 0.3331
C 0.5000 0.5000 0.8331
Li 0.5000 0.5000 0.3340
Li 0.5000 0.0000 0.8340

---

Below is a relaxed structure of SrMg14Sb, with properties calculated at the PBE-GGA level.

Computed properties:
Relative energy among the computed polymorphs (eV per formula unit): 0.000
SG: Amm2
Size of the total moment (μB per formula unit): 0.00
Density (Mg/m³): 2.3
Formation enthalpy at 0 K (meV/atom): -47

Unit cell a=10.5571 b=6.6059 c=6.6059 alpha=58.51 beta=90.00 gamma=90.00
Fractional positions:
Sr 0.0000 0.0000 0.0000
Mg 0.0000 0.0055 0.4955
Mg 0.0000 0.4955 0.0055
Mg 0.2479 0.6669 0.6669
Mg 0.2613 0.1692 0.1692
Mg 0.2631 0.1662 0.6592
Mg 0.2631 0.6592 0.1662
Mg 0.5000 0.5012 0.5012
Mg 0.5000 0.5011 0.9958
Mg 0.5000 0.9958 0.5011
Mg 0.5000 0.9995 0.9995
Mg 0.7369 0.1662 0.6592
Mg 0.7369 0.6592 0.1662
Mg 0.7387 0.1692 0.1692
Mg 0.7521 0.6669 0.6669
Sb 0.0000 0.4913 0.4913

---

Below is a relaxed structure of Na5LiN2, with properties calculated at the PBE-GGA level.

Computed properties:
Relative energy among the computed polymorphs (eV per formula unit): 0.179
SG: Pm
Size of the total moment (μB per formula unit): 0.00
Density (Mg/m³): 1.7
Formation enthalpy at 0 K (meV/atom): 116

Unit cell a=4.4003 b=4.4293 c=7.6728 alpha=90.00 beta=90.00 gamma=90.00
Fractional positions:
Na 0.0000 0.0000 0.0000
Na 0.0015 0.5000 0.4902
Na 0.1737 0.0000 0.6613
Na 0.1981 0.5000 0.1622
Na 0.5913 0.5000 0.8241
Li 0.5943 0.0000 0.3308
N 0.0911 0.5000 0.8297
N 0.0963 0.0000 0.3292

---

Below is a relaxed structure of Al3V, with properties calculated at the PBE-GGA level.

Computed properties:
SG: I4/mmm
Density (Mg/m³): 3.7
Formation enthalpy at 0 K (meV/atom): -289

Unit cell a=4.9359 b=4.9359 c=4.9359 alpha=135.14 beta=135.14 gamma=65.31
Fractional positions:
Al 0.0000 0.0000 0.0000
Al 0.2500 0.7500 0.5000
Al 0.7500 0.2500 0.5000
V 0.5000 0.5000 0.0000

---

Below is a relaxed structure of NiPRh, with properties calculated at the PBE-GGA level.

Computed properties:
SG: P-62m
Size of the total moment (μB per formula unit): 0.00
Density (Mg/m³): 8.8
Formation enthalpy at 0 K (meV/atom): -587

Unit cell a=5.9664 b=5.9664 c=3.5448 alpha=90.00 beta=90.00 gamma=120.00
Fractional positions:
Ni 0.0000 0.2582 0.0000
Ni 0.2582 0.0000 0.0000
Ni 0.7418 0.7418 0.0000
P 0.0000 0.0000 0.5000
P 0.3333 0.6667 0.0000
P 0.6667 0.3333 0.0000
Rh 0.0000 0.6069 0.5000
Rh 0.3931 0.3931 0.5000
Rh 0.6069 0.0000 0.5000

---

Below is a relaxed structure of Nb3Pb, with properties calculated at the PBE-GGA level.

Computed properties:
SG: Pm-3n
Size of the total moment (μB per formula unit): 0.56
Density (Mg/m³): 10.3
Formation enthalpy at 0 K (meV/atom): 121

Unit cell a=5.3871 b=5.3871 c=5.3871 alpha=90.00 beta=90.00 gamma=90.00
Fractional positions:
Nb 0.0000 0.2500 0.5000
Nb 0.0000 0.7500 0.5000
Nb 0.2500 0.5000 0.0000
Nb 0.5000 0.0000 0.2500
Nb 0.5000 0.0000 0.7500
Nb 0.7500 0.5000 0.0000
Pb 0.0000 0.0000 0.0000
Pb 0.5000 0.5000 0.5000

---

Below is a relaxed structure of B, with properties calculated at the PBE-GGA level.

Computed properties:
Relative energy among the computed polymorphs (eV per formula unit): 0.215
SG: R-3m
Size of the total moment (μB per formula unit): 0.00
Density (Mg/m³): 2.3
Formation enthalpy at 0 K (meV/atom): 215

Unit cell a=5.2278 b=5.2278 c=5.2278 alpha=67.45 beta=67.45 gamma=67.45
Fractional positions:
B 0.0000 0.0000 0.0000
B 0.1341 0.1341 0.1341
B 0.1706 0.4931 0.4931
B 0.1990 0.6928 0.6928
B 0.3072 0.3072 0.8010
B 0.3072 0.8010 0.3072
B 0.4931 0.1706 0.4931
B 0.4931 0.4931 0.1706
B 0.5069 0.5069 0.8294
B 0.5069 0.8294 0.5069
B 0.6928 0.1990 0.6928
B 0.6928 0.6928 0.1990
B 0.8010 0.3072 0.3072
B 0.8294 0.5069 0.5069
B 0.8659 0.8659 0.8659

---

Below is a relaxed structure of K2WCl6, with properties calculated at the PBE-GGA level.

Computed properties:
SG: Fm-3m
Density (Mg/m³): 3.1
Formation enthalpy at 0 K (meV/atom): -1758

Unit cell a=7.0855 b=7.0855 c=7.0855 alpha=60.00 beta=60.00 gamma=60.00
Fractional positions:
K 0.2500 0.2500 0.2500
K 0.7500 0.7500 0.7500
W 0.0000 0.0000 0.0000
Cl 0.2389 0.2389 0.7611
Cl 0.2389 0.7611 0.2389
Cl 0.2389 0.7611 0.7611
Cl 0.7611 0.2389 0.2389
Cl 0.7611 0.2389 0.7611
Cl 0.7611 0.7611 0.2389

---

Below is a relaxed structure of ThGe2Ir2, with properties calculated at the PBE-GGA level.

Computed properties:
SG: P4/nmm
Density (Mg/m³): 13.6
Formation enthalpy at 0 K (meV/atom): -827

Unit cell a=4.2761 b=4.2761 c=10.1819 alpha=90.00 beta=90.00 gamma=90.00
Fractional positions:
Th 0.2500 0.2500 0.2471
Th 0.7500 0.7500 0.7529
Ge 0.2500 0.2500 0.6324
Ge 0.2500 0.7500 0.0000
Ge 0.7500 0.2500 0.0000
Ge 0.7500 0.7500 0.3676
Ir 0.2500 0.2500 0.8718
Ir 0.2500 0.7500 0.5000
Ir 0.7500 0.2500 0.5000
Ir 0.7500 0.7500 0.1282

---

Below is a relaxed structure of MgTe4Mo2W2S4, with properties calculated at the PBE-GGA level.

Computed properties:
Relative energy among the computed polymorphs (eV per formula unit): 0.424
SG: P1
Size of the total moment (μB per formula unit): 0.01
Density (Mg/m³): 5.4
Formation enthalpy at 0 K (meV/atom): -497

Unit cell a=3.3543 b=3.3544 c=38.2691 alpha=90.00 beta=90.00 gamma=60.00
Fractional positions:
Mg 0.0000 0.0000 0.0000
Te 0.6367 0.7220 0.7306
Te 0.6367 0.7220 0.8293
Te 0.9700 0.0554 0.1667
Te 0.9700 0.0554 0.2660
Mo 0.6366 0.7221 0.5921
Mo 0.9700 0.0553 0.7800
W 0.6366 0.7221 0.2163
W 0.9700 0.0553 0.4042
S 0.6367 0.7220 0.3646
S 0.6367 0.7220 0.4439
S 0.9700 0.0554 0.5526
S 0.9700 0.0554 0.6316